# 1
{"formula": "LiCo2P2O8", "functional": "GGA+U", "state": "relaxed", "de_polymorph_ev_per_atom": 0.0000, "space_group": "Pc (7)", "e_tot_ev_per_cell": -348.03, "ef_ev_per_atom": -2.25, "lattice": [[8.480, 0.000, 0.000], [0.000, 5.155, 0.000], [-3.276, 0.000, 16.411]], "species": ["Li", "Li", "Li", "Li", "Co", "Co", "Co", "Co", "Co", "Co", "Co", "Co", "P", "P", "P", "P", "P", "P", "P", "P", "O", "O", "O", "O", "O", "O", "O", "O", "O", "O", "O", "O", "O", "O", "O", "O", "O", "O", "O", "O", "O", "O", "O", "O", "O", "O", "O", "O", "O", "O", "O", "O"], "fractional_positions": [[0.000, 0.169, 0.000], [0.000, 0.831, 0.500], [0.395, 0.327, 0.741], [0.395, 0.673, 0.241], [0.269, 0.309, 0.376], [0.269, 0.691, 0.876], [0.371, 0.174, 0.117], [0.371, 0.826, 0.617], [0.757, 0.326, 0.864], [0.757, 0.674, 0.364], [0.862, 0.187, 0.627], [0.862, 0.813, 0.127], [0.079, 0.191, 0.811], [0.079, 0.809, 0.311], [0.180, 0.318, 0.560], [0.180, 0.682, 0.060], [0.569, 0.186, 0.304], [0.569, 0.814, 0.804], [0.689, 0.308, 0.056], [0.689, 0.692, 0.556], [0.010, 0.190, 0.553], [0.010, 0.810, 0.053], [0.124, 0.099, 0.305], [0.124, 0.901, 0.805], [0.171, 0.386, 0.072], [0.171, 0.614, 0.572], [0.234, 0.247, 0.479], [0.234, 0.753, 0.979], [0.237, 0.357, 0.822], [0.237, 0.643, 0.322], [0.300, 0.191, 0.631], [0.300, 0.809, 0.131], [0.457, 0.301, 0.228], [0.457, 0.699, 0.728], [0.482, 0.247, 0.377], [0.482, 0.753, 0.877], [0.514, 0.222, 0.041], [0.514, 0.778, 0.541], [0.587, 0.112, 0.795], [0.587, 0.888, 0.295], [0.697, 0.399, 0.582], [0.697, 0.601, 0.082], [0.733, 0.319, 0.323], [0.733, 0.681, 0.823], [0.767, 0.277, 0.981], [0.767, 0.723, 0.481], [0.798, 0.158, 0.127], [0.798, 0.842, 0.627], [0.963, 0.270, 0.732], [0.963, 0.730, 0.232], [0.994, 0.239, 0.883], [0.994, 0.761, 0.383]]}

# 2
{"formula": "LiCo2P2O8", "functional": "GGA+U", "state": "relaxed", "de_polymorph_ev_per_atom": 0.0143, "space_group": "Pc (7)", "e_tot_ev_per_cell": -347.29, "ef_ev_per_atom": -2.24, "lattice": [[8.433, 0.000, 0.000], [0.000, 5.281, 0.000], [-4.073, 0.000, 15.985]], "species": ["Li", "Li", "Li", "Li", "Co", "Co", "Co", "Co", "Co", "Co", "Co", "Co", "P", "P", "P", "P", "P", "P", "P", "P", "O", "O", "O", "O", "O", "O", "O", "O", "O", "O", "O", "O", "O", "O", "O", "O", "O", "O", "O", "O", "O", "O", "O", "O", "O", "O", "O", "O", "O", "O", "O", "O"], "fractional_positions": [[0.000, 0.148, 0.000], [0.000, 0.852, 0.500], [0.434, 0.339, 0.734], [0.434, 0.661, 0.234], [0.094, 0.184, 0.797], [0.094, 0.816, 0.297], [0.192, 0.336, 0.551], [0.192, 0.664, 0.051], [0.602, 0.174, 0.304], [0.602, 0.826, 0.804], [0.672, 0.315, 0.047], [0.672, 0.685, 0.547], [0.288, 0.322, 0.363], [0.288, 0.678, 0.863], [0.368, 0.169, 0.116], [0.368, 0.831, 0.616], [0.786, 0.330, 0.864], [0.786, 0.670, 0.364], [0.868, 0.183, 0.610], [0.868, 0.817, 0.110], [0.173, 0.141, 0.299], [0.173, 0.859, 0.799], [0.200, 0.295, 0.078], [0.200, 0.705, 0.578], [0.226, 0.335, 0.442], [0.226, 0.665, 0.942], [0.275, 0.411, 0.817], [0.275, 0.589, 0.317], [0.343, 0.115, 0.635], [0.343, 0.885, 0.135], [0.460, 0.310, 0.196], [0.460, 0.690, 0.696], [0.466, 0.232, 0.380], [0.466, 0.768, 0.880], [0.469, 0.192, 0.048], [0.469, 0.808, 0.548], [0.648, 0.191, 0.800], [0.648, 0.809, 0.300], [0.712, 0.348, 0.579], [0.712, 0.652, 0.079], [0.766, 0.289, 0.955], [0.766, 0.711, 0.455], [0.791, 0.391, 0.340], [0.791, 0.609, 0.840], [0.816, 0.094, 0.122], [0.816, 0.906, 0.622], [0.958, 0.205, 0.873], [0.958, 0.795, 0.373], [0.966, 0.292, 0.695], [0.966, 0.708, 0.195], [0.975, 0.189, 0.546], [0.975, 0.811, 0.046]]}

# 3
{"formula": "Li3Co2P3O12", "functional": "GGA+U", "state": "relaxed", "de_polymorph_ev_per_atom": 0.0646, "space_group": "P2_1/c (14)", "e_tot_ev_per_cell": -518.49, "ef_ev_per_atom": -2.28, "lattice": [[8.450, 0.000, 0.000], [0.000, 8.755, 0.000], [-8.101, 0.000, 11.999]], "species": ["Li", "Li", "Li", "Li", "Li", "Li", "Li", "Li", "Li", "Li", "Li", "Li", "Co", "Co", "Co", "Co", "Co", "Co", "Co", "Co", "P", "P", "P", "P", "P", "P", "P", "P", "P", "P", "P", "P", "O", "O", "O", "O", "O", "O", "O", "O", "O", "O", "O", "O", "O", "O", "O", "O", "O", "O", "O", "O", "O", "O", "O", "O", "O", "O", "O", "O", "O", "O", "O", "O", "O", "O", "O", "O", "O", "O", "O", "O", "O", "O", "O", "O", "O", "O", "O", "O"], "fractional_positions": [[0.007, 0.220, 0.323], [0.007, 0.280, 0.823], [0.283, 0.510, 0.843], [0.283, 0.990, 0.343], [0.387, 0.588, 0.307], [0.387, 0.912, 0.807], [0.613, 0.088, 0.193], [0.613, 0.412, 0.693], [0.717, 0.010, 0.657], [0.717, 0.490, 0.157], [0.993, 0.720, 0.177], [0.993, 0.780, 0.677], [0.140, 0.535, 0.394], [0.140, 0.965, 0.894], [0.344, 0.525, 0.100], [0.344, 0.975, 0.600], [0.656, 0.025, 0.400], [0.656, 0.475, 0.900], [0.860, 0.035, 0.106], [0.860, 0.465, 0.606], [0.035, 0.110, 0.649], [0.035, 0.390, 0.149], [0.265, 0.618, 0.650], [0.265, 0.882, 0.150], [0.451, 0.249, 0.992], [0.451, 0.251, 0.492], [0.549, 0.749, 0.508], [0.549, 0.751, 0.008], [0.735, 0.118, 0.850], [0.735, 0.382, 0.350], [0.965, 0.610, 0.851], [0.965, 0.890, 0.351], [0.020, 0.231, 0.189], [0.020, 0.269, 0.689], [0.120, 0.508, 0.248], [0.120, 0.992, 0.748], [0.126, 0.580, 0.686], [0.126, 0.920, 0.186], [0.157, 0.108, 0.601], [0.157, 0.392, 0.101], [0.164, 0.579, 0.525], [0.164, 0.921, 0.025], [0.173, 0.548, 0.936], [0.173, 0.952, 0.436], [0.249, 0.179, 0.935], [0.249, 0.321, 0.435], [0.290, 0.705, 0.164], [0.290, 0.795, 0.664], [0.393, 0.627, 0.443], [0.393, 0.873, 0.943], [0.451, 0.528, 0.720], [0.451, 0.972, 0.220], [0.461, 0.165, 0.401], [0.461, 0.335, 0.901], [0.483, 0.140, 0.585], [0.483, 0.360, 0.085], [0.517, 0.640, 0.915], [0.517, 0.860, 0.415], [0.539, 0.665, 0.099], [0.539, 0.835, 0.599], [0.549, 0.028, 0.780], [0.549, 0.472, 0.280], [0.607, 0.127, 0.057], [0.607, 0.373, 0.557], [0.710, 0.205, 0.336], [0.710, 0.295, 0.836], [0.751, 0.679, 0.565], [0.751, 0.821, 0.065], [0.827, 0.048, 0.564], [0.827, 0.452, 0.064], [0.836, 0.079, 0.975], [0.836, 0.421, 0.475], [0.843, 0.608, 0.899], [0.843, 0.892, 0.399], [0.874, 0.080, 0.814], [0.874, 0.420, 0.314], [0.880, 0.008, 0.252], [0.880, 0.492, 0.752], [0.980, 0.731, 0.311], [0.980, 0.769, 0.811]]}

# 4
{"formula": "Li3Co2P3O12", "functional": "GGA+U", "state": "relaxed", "de_polymorph_ev_per_atom": 0.0391, "space_group": "P2_1/c (14)", "e_tot_ev_per_cell": -520.53, "ef_ev_per_atom": -2.30, "lattice": [[8.713, 0.000, 0.000], [0.000, 8.714, 0.000], [-8.518, 0.000, 12.068]], "species": ["Li", "Li", "Li", "Li", "Li", "Li", "Li", "Li", "Li", "Li", "Li", "Li", "Co", "Co", "Co", "Co", "Co", "Co", "Co", "Co", "P", "P", "P", "P", "P", "P", "P", "P", "P", "P", "P", "P", "O", "O", "O", "O", "O", "O", "O", "O", "O", "O", "O", "O", "O", "O", "O", "O", "O", "O", "O", "O", "O", "O", "O", "O", "O", "O", "O", "O", "O", "O", "O", "O", "O", "O", "O", "O", "O", "O", "O", "O", "O", "O", "O", "O", "O", "O", "O", "O"], "fractional_positions": [[0.031, 0.225, 0.321], [0.031, 0.275, 0.821], [0.349, 0.562, 0.290], [0.349, 0.938, 0.790], [0.387, 0.232, 0.182], [0.387, 0.268, 0.682], [0.613, 0.732, 0.318], [0.613, 0.768, 0.818], [0.651, 0.062, 0.210], [0.651, 0.438, 0.710], [0.969, 0.725, 0.179], [0.969, 0.775, 0.679], [0.136, 0.540, 0.391], [0.136, 0.960, 0.891], [0.364, 0.542, 0.103], [0.364, 0.958, 0.603], [0.636, 0.042, 0.397], [0.636, 0.458, 0.897], [0.864, 0.040, 0.109], [0.864, 0.460, 0.609], [0.040, 0.107, 0.648], [0.040, 0.393, 0.148], [0.255, 0.608, 0.649], [0.255, 0.892, 0.149], [0.457, 0.245, 0.000], [0.457, 0.255, 0.500], [0.543, 0.745, 0.500], [0.543, 0.755, 0.000], [0.745, 0.108, 0.851], [0.745, 0.392, 0.351], [0.960, 0.607, 0.852], [0.960, 0.893, 0.352], [0.013, 0.236, 0.183], [0.013, 0.264, 0.683], [0.084, 0.519, 0.235], [0.084, 0.981, 0.735], [0.099, 0.592, 0.668], [0.099, 0.908, 0.168], [0.136, 0.556, 0.964], [0.136, 0.944, 0.464], [0.173, 0.582, 0.526], [0.173, 0.918, 0.026], [0.218, 0.109, 0.647], [0.218, 0.391, 0.147], [0.262, 0.166, 0.929], [0.262, 0.334, 0.429], [0.335, 0.725, 0.184], [0.335, 0.775, 0.684], [0.384, 0.629, 0.429], [0.384, 0.871, 0.929], [0.417, 0.011, 0.216], [0.417, 0.489, 0.716], [0.453, 0.153, 0.585], [0.453, 0.347, 0.085], [0.480, 0.166, 0.418], [0.480, 0.334, 0.918], [0.520, 0.666, 0.082], [0.520, 0.834, 0.582], [0.547, 0.653, 0.915], [0.547, 0.847, 0.415], [0.583, 0.511, 0.284], [0.583, 0.989, 0.784], [0.616, 0.129, 0.071], [0.616, 0.371, 0.571], [0.665, 0.225, 0.316], [0.665, 0.275, 0.816], [0.738, 0.666, 0.571], [0.738, 0.834, 0.071], [0.782, 0.609, 0.853], [0.782, 0.891, 0.353], [0.827, 0.082, 0.974], [0.827, 0.418, 0.474], [0.864, 0.056, 0.536], [0.864, 0.444, 0.036], [0.901, 0.092, 0.832], [0.901, 0.408, 0.332], [0.916, 0.019, 0.265], [0.916, 0.481, 0.765], [0.987, 0.736, 0.317], [0.987, 0.764, 0.817]]}

# 5
{"formula": "Li3Co2P5O16", "functional": "GGA+U", "state": "relaxed", "space_group": "P2/c (13)", "e_tot_ev_per_cell": -353.77, "ef_ev_per_atom": -2.50, "lattice": [[5.058, 0.000, 0.000], [0.000, 6.932, 0.000], [-0.754, 0.000, 18.186]], "species": ["Li", "Li", "Li", "Li", "Li", "Li", "Co", "Co", "Co", "Co", "P", "P", "P", "P", "P", "P", "P", "P", "P", "P", "O", "O", "O", "O", "O", "O", "O", "O", "O", "O", "O", "O", "O", "O", "O", "O", "O", "O", "O", "O", "O", "O", "O", "O", "O", "O", "O", "O", "O", "O", "O", "O"], "fractional_positions": [[0.000, 0.021, 0.250], [0.000, 0.979, 0.750], [0.240, 0.328, 0.966], [0.240, 0.672, 0.466], [0.760, 0.328, 0.534], [0.760, 0.672, 0.034], [0.233, 0.173, 0.411], [0.233, 0.827, 0.911], [0.767, 0.173, 0.089], [0.767, 0.827, 0.589], [0.239, 0.468, 0.124], [0.239, 0.532, 0.624], [0.273, 0.126, 0.586], [0.273, 0.874, 0.086], [0.500, 0.245, 0.250], [0.500, 0.755, 0.750], [0.727, 0.126, 0.914], [0.727, 0.874, 0.414], [0.761, 0.468, 0.376], [0.761, 0.532, 0.876], [0.056, 0.447, 0.392], [0.056, 0.553, 0.892], [0.117, 0.204, 0.518], [0.117, 0.796, 0.018], [0.121, 0.023, 0.130], [0.121, 0.977, 0.630], [0.301, 0.312, 0.643], [0.301, 0.688, 0.143], [0.307, 0.387, 0.205], [0.307, 0.613, 0.705], [0.323, 0.134, 0.299], [0.323, 0.866, 0.799], [0.419, 0.383, 0.068], [0.419, 0.617, 0.568], [0.438, 0.081, 0.929], [0.438, 0.919, 0.429], [0.562, 0.081, 0.571], [0.562, 0.919, 0.071], [0.581, 0.383, 0.432], [0.581, 0.617, 0.932], [0.677, 0.134, 0.201], [0.677, 0.866, 0.701], [0.693, 0.387, 0.295], [0.693, 0.613, 0.795], [0.699, 0.312, 0.857], [0.699, 0.688, 0.357], [0.879, 0.023, 0.370], [0.879, 0.977, 0.870], [0.883, 0.204, 0.982], [0.883, 0.796, 0.482], [0.944, 0.447, 0.108], [0.944, 0.553, 0.608]]}

# 6
{"formula": "Li2CoP2O7", "functional": "GGA+U", "state": "relaxed", "de_polymorph_ev_per_atom": 0.0491, "space_group": "P1 (1)", "e_tot_ev_per_cell": -318.23, "ef_ev_per_atom": -2.47, "lattice": [[7.193, 0.000, 0.000], [3.537, 8.046, 0.000], [3.364, -1.471, 9.293]], "species": ["Li", "Li", "Li", "Li", "Li", "Li", "Li", "Li", "Co", "Co", "Co", "Co", "P", "P", "P", "P", "P", "P", "P", "P", "O", "O", "O", "O", "O", "O", "O", "O", "O", "O", "O", "O", "O", "O", "O", "O", "O", "O", "O", "O", "O", "O", "O", "O", "O", "O", "O", "O"], "fractional_positions": [[0.000, 0.000, 0.000], [0.018, 0.744, 0.546], [0.427, 0.765, 0.776], [0.451, 0.508, 0.321], [0.492, 0.002, 0.513], [0.525, 0.744, 0.043], [0.927, 0.765, 0.277], [0.952, 0.513, 0.823], [0.040, 0.090, 0.659], [0.407, 0.418, 0.653], [0.543, 0.087, 0.169], [0.910, 0.416, 0.151], [0.171, 0.361, 0.456], [0.214, 0.609, 0.977], [0.237, 0.898, 0.347], [0.277, 0.147, 0.864], [0.678, 0.358, 0.953], [0.710, 0.611, 0.474], [0.738, 0.902, 0.844], [0.776, 0.147, 0.366], [0.021, 0.069, 0.364], [0.036, 0.593, 0.106], [0.130, 0.189, 0.024], [0.181, 0.604, 0.834], [0.193, 0.746, 0.324], [0.197, 0.212, 0.536], [0.202, 0.500, 0.533], [0.244, 0.301, 0.789], [0.252, 0.008, 0.786], [0.258, 0.762, 0.002], [0.269, 0.907, 0.492], [0.325, 0.314, 0.298], [0.416, 0.913, 0.218], [0.431, 0.439, 0.961], [0.524, 0.073, 0.858], [0.533, 0.594, 0.604], [0.624, 0.189, 0.525], [0.676, 0.604, 0.331], [0.696, 0.749, 0.818], [0.705, 0.213, 0.038], [0.715, 0.498, 0.022], [0.748, 0.300, 0.291], [0.750, 0.009, 0.287], [0.753, 0.763, 0.499], [0.769, 0.909, 0.988], [0.824, 0.307, 0.793], [0.919, 0.917, 0.715], [0.928, 0.441, 0.457]]}

# 7
{"formula": "LiCoP2O7", "functional": "GGA+U", "state": "relaxed", "de_polymorph_ev_per_atom": 0.0214, "space_group": "C2/c (15)", "e_tot_ev_per_cell": -294.72, "ef_ev_per_atom": -2.33, "lattice": [[4.702, -3.979, 0.000], [4.702, 3.979, 0.000], [-4.489, 0.000, 12.238]], "species": ["Li", "Li", "Li", "Li", "Co", "Co", "Co", "Co", "P", "P", "P", "P", "P", "P", "P", "P", "O", "O", "O", "O", "O", "O", "O", "O", "O", "O", "O", "O", "O", "O", "O", "O", "O", "O", "O", "O", "O", "O", "O", "O", "O", "O", "O", "O"], "fractional_positions": [[0.000, 0.235, 0.145], [0.000, 0.765, 0.855], [0.235, 0.000, 0.645], [0.765, 0.000, 0.355], [0.123, 0.594, 0.360], [0.406, 0.877, 0.140], [0.594, 0.123, 0.860], [0.877, 0.406, 0.640], [0.088, 0.249, 0.862], [0.249, 0.088, 0.362], [0.335, 0.421, 0.573], [0.421, 0.335, 0.073], [0.579, 0.665, 0.927], [0.665, 0.579, 0.427], [0.751, 0.912, 0.638], [0.912, 0.751, 0.138], [0.022, 0.571, 0.202], [0.078, 0.891, 0.119], [0.080, 0.275, 0.318], [0.109, 0.922, 0.381], [0.190, 0.338, 0.631], [0.204, 0.394, 0.979], [0.211, 0.614, 0.517], [0.275, 0.080, 0.818], [0.338, 0.190, 0.131], [0.386, 0.789, 0.983], [0.394, 0.204, 0.479], [0.429, 0.978, 0.298], [0.436, 0.525, 0.352], [0.475, 0.564, 0.148], [0.525, 0.436, 0.852], [0.564, 0.475, 0.648], [0.571, 0.022, 0.702], [0.606, 0.796, 0.521], [0.614, 0.211, 0.017], [0.662, 0.810, 0.869], [0.725, 0.920, 0.182], [0.789, 0.386, 0.483], [0.796, 0.606, 0.021], [0.810, 0.662, 0.369], [0.891, 0.078, 0.619], [0.920, 0.725, 0.682], [0.922, 0.109, 0.881], [0.978, 0.429, 0.798]]}